# Nd2Mg | the Materials Project database | meta-GGA r2SCAN | relaxed
data_Nd2Mg
_chemical_formula_sum 'Nd4 Mg2'
_cell_length_a 3.859
_cell_length_b 3.859
_cell_length_c 12.801
_cell_angle_alpha 90.00
_cell_angle_beta 90.00
_cell_angle_gamma 90.00
_space_group_name_H-M_alt 'P 1'
_space_group_IT_number 1
loop_
_space_group_symop_operation_xyz
'x,y,z'
loop_
_atom_site_label
_atom_site_type_symbol
_atom_site_fract_x
_atom_site_fract_y
_atom_site_fract_z
Nd1 Nd 0.000 0.000 0.155
Nd2 Nd 0.000 0.000 0.845
Nd3 Nd 0.500 0.500 0.345
Nd4 Nd 0.500 0.500 0.655
Mg1 Mg 0.000 0.000 0.500
Mg2 Mg 0.500 0.500 0.000
# Formation enthalpy at 0 K = -0.196 eV/f.u.
# Polymorph energy (0 for the lowest one) = 0.007 eV per atom
# Space-group type = I4/mmm (139)
# E_tot = -21.0671 eV per atom